Below is crystalline Cs4MgMn4H16Cl12O8 at its relaxed geometry, with properties calculated at the GGA+U level.

Cell: 9.121 8.059 11.781 Å, 90.00 91.72 90.00°
Sites, in units of the cell vectors:
Cs (0.183, 0.000, 0.133)
Cs (0.263, 0.037, 0.600)
Cs (0.737, 0.037, 0.400)
Cs (0.817, 0.000, 0.867)
Mg (0.500, 0.171, 0.000)
Mn (0.000, 0.517, 0.000)
Mn (0.000, 0.552, 0.500)
Mn (0.500, 0.507, 0.500)
Mn (0.500, 0.606, 0.000)
H (0.021, 0.355, 0.302)
H (0.029, 0.709, 0.799)
H (0.176, 0.348, 0.367)
H (0.180, 0.727, 0.868)
H (0.320, 0.720, 0.368)
H (0.323, 0.370, 0.864)
H (0.474, 0.718, 0.308)
H (0.480, 0.373, 0.808)
H (0.520, 0.373, 0.192)
H (0.526, 0.718, 0.692)
H (0.677, 0.370, 0.136)
H (0.680, 0.720, 0.632)
H (0.820, 0.727, 0.132)
H (0.824, 0.348, 0.633)
H (0.971, 0.709, 0.201)
H (0.979, 0.355, 0.698)
Cl (0.082, 0.786, 0.366)
Cl (0.090, 0.296, 0.861)
Cl (0.253, 0.524, 0.594)
Cl (0.253, 0.560, 0.094)
Cl (0.406, 0.789, 0.843)
Cl (0.410, 0.283, 0.356)
Cl (0.590, 0.283, 0.644)
Cl (0.594, 0.789, 0.157)
Cl (0.747, 0.524, 0.406)
Cl (0.747, 0.560, 0.906)
Cl (0.910, 0.296, 0.139)
Cl (0.918, 0.786, 0.634)
O (0.069, 0.355, 0.379)
O (0.072, 0.717, 0.877)
O (0.427, 0.714, 0.383)
O (0.430, 0.385, 0.881)
O (0.570, 0.385, 0.119)
O (0.573, 0.714, 0.617)
O (0.928, 0.717, 0.123)
O (0.931, 0.355, 0.621)

Summary:
**Total DFT energy (no corrections)**: -4.579 eV per atom


Below is crystalline CsK2Mn3P4ClO14 at its relaxed geometry, with properties calculated at the GGA+U level.

Cell: 7.748 5.460 19.327 Å, 90.00 100.88 90.00°
Sites, in units of the cell vectors:
Cs (0.000, 0.205, 0.250)
Cs (0.000, 0.795, 0.750)
K (0.415, 0.221, 0.086)
K (0.415, 0.779, 0.586)
K (0.585, 0.221, 0.414)
K (0.585, 0.779, 0.914)
Mn (0.109, 0.215, 0.461)
Mn (0.109, 0.785, 0.961)
Mn (0.500, 0.282, 0.750)
Mn (0.500, 0.718, 0.250)
Mn (0.891, 0.215, 0.039)
Mn (0.891, 0.785, 0.539)
P (0.095, 0.310, 0.626)
P (0.095, 0.690, 0.126)
P (0.287, 0.280, 0.900)
P (0.287, 0.720, 0.400)
P (0.713, 0.280, 0.600)
P (0.713, 0.720, 0.100)
P (0.905, 0.310, 0.874)
P (0.905, 0.690, 0.374)
Cl (0.500, 0.220, 0.250)
Cl (0.500, 0.780, 0.750)
O (0.092, 0.117, 0.566)
O (0.092, 0.279, 0.847)
O (0.092, 0.721, 0.347)
O (0.092, 0.883, 0.066)
O (0.097, 0.429, 0.097)
O (0.097, 0.571, 0.597)
O (0.230, 0.259, 0.691)
O (0.230, 0.741, 0.191)
O (0.289, 0.500, 0.450)
O (0.289, 0.500, 0.950)
O (0.298, 0.036, 0.941)
O (0.298, 0.964, 0.441)
O (0.421, 0.298, 0.853)
O (0.421, 0.702, 0.353)
O (0.579, 0.298, 0.647)
O (0.579, 0.702, 0.147)
O (0.702, 0.036, 0.559)
O (0.702, 0.964, 0.059)
O (0.711, 0.500, 0.050)
O (0.711, 0.500, 0.550)
O (0.770, 0.259, 0.809)
O (0.770, 0.741, 0.309)
O (0.903, 0.429, 0.403)
O (0.903, 0.571, 0.903)
O (0.908, 0.117, 0.934)
O (0.908, 0.279, 0.653)
O (0.908, 0.721, 0.153)
O (0.908, 0.883, 0.434)

Summary:
**Total DFT energy (no corrections)**: -6.925 eV per atom


Below is crystalline CsNa2Mn3P4ClO14 at its relaxed geometry, with properties calculated at the GGA+U level.

Cell: 11.130 11.130 14.073 Å, 117.52 117.52 27.81°
Sites, in units of the cell vectors:
Cs (0.000, 0.000, 0.000)
Cs (0.000, 0.000, 0.500)
Na (0.196, 0.245, 0.153)
Na (0.245, 0.196, 0.653)
Na (0.755, 0.804, 0.347)
Na (0.804, 0.755, 0.847)
Mn (0.142, 0.177, 0.848)
Mn (0.177, 0.142, 0.348)
Mn (0.441, 0.559, 0.250)
Mn (0.559, 0.441, 0.750)
Mn (0.823, 0.858, 0.652)
Mn (0.858, 0.823, 0.152)
P (0.326, 0.358, 0.506)
P (0.358, 0.326, 0.006)
P (0.374, 0.384, 0.324)
P (0.384, 0.374, 0.824)
P (0.616, 0.626, 0.176)
P (0.626, 0.616, 0.676)
P (0.642, 0.674, 0.994)
P (0.674, 0.642, 0.494)
Cl (0.037, 0.963, 0.750)
Cl (0.963, 0.037, 0.250)
O (0.043, 0.640, 0.524)
O (0.086, 0.593, 0.283)
O (0.117, 0.553, 0.757)
O (0.181, 0.358, 0.928)
O (0.244, 0.517, 0.111)
O (0.357, 0.423, 0.947)
O (0.358, 0.181, 0.428)
O (0.360, 0.957, 0.976)
O (0.407, 0.914, 0.217)
O (0.423, 0.357, 0.447)
O (0.447, 0.463, 0.347)
O (0.447, 0.883, 0.743)
O (0.463, 0.447, 0.847)
O (0.483, 0.756, 0.389)
O (0.517, 0.244, 0.611)
O (0.537, 0.553, 0.153)
O (0.553, 0.117, 0.257)
O (0.553, 0.537, 0.653)
O (0.577, 0.643, 0.553)
O (0.593, 0.086, 0.783)
O (0.640, 0.043, 0.024)
O (0.642, 0.819, 0.572)
O (0.643, 0.577, 0.053)
O (0.756, 0.483, 0.889)
O (0.819, 0.642, 0.072)
O (0.883, 0.447, 0.243)
O (0.914, 0.407, 0.717)
O (0.957, 0.360, 0.476)

Summary:
**Total DFT energy (no corrections)**: -6.918 eV per atom


Below is crystalline Cs2MnCl4O2 at its relaxed geometry, with properties calculated at the GGA+U level.

Cell: 6.159 7.096 7.129 Å, 118.69 92.95 92.81°
Sites, in units of the cell vectors:
Cs (0.245, 0.312, 0.172)
Cs (0.755, 0.688, 0.828)
Mn (0.500, 0.000, 0.500)
Cl (0.264, 0.840, 0.644)
Cl (0.298, 0.804, 0.162)
Cl (0.702, 0.196, 0.838)
Cl (0.736, 0.160, 0.356)
O (0.339, 0.211, 0.568)
O (0.661, 0.789, 0.432)

Summary:
**Total DFT energy (no corrections)**: -3.995 eV per atom


Below is crystalline Cs2MnV2Cl2O6 at its relaxed geometry, with properties calculated at the GGA+U level.

Cell: 5.672 9.434 11.633 Å, 90.00 90.00 107.49°
Sites, in units of the cell vectors:
O (0.799, 0.599, 0.961)
O (0.000, 0.500, 0.763)
O (0.891, 0.782, 0.270)
O (0.201, 0.401, 0.461)
V (0.198, 0.397, 0.319)
O (0.109, 0.218, 0.770)
O (0.500, 0.500, 0.763)
Cs (0.627, 0.255, 0.074)
O (0.799, 0.599, 0.461)
Mn (0.000, 0.000, 0.320)
Cs (0.627, 0.255, 0.574)
O (0.201, 0.401, 0.961)
Cl (0.000, 0.000, 0.029)
Cs (0.373, 0.745, 0.574)
O (0.109, 0.218, 0.270)
V (0.198, 0.397, 0.819)
Mn (0.000, 0.000, 0.820)
Cl (0.500, 0.000, 0.811)
O (0.500, 0.500, 0.263)
V (0.802, 0.603, 0.319)
Cl (0.000, 0.000, 0.529)
O (0.000, 0.500, 0.263)
V (0.802, 0.603, 0.819)
Cl (0.500, 0.000, 0.311)
O (0.891, 0.782, 0.770)
Cs (0.373, 0.745, 0.074)

Summary:
**Total DFT energy (no corrections)**: -6.308 eV per atom
**Maximum piezoelectric response**: 0.61 C/m2